LiMnPO4: relaxed, GGA+U.

Values from the calculation:
SG: R3 (146)
density: 2.9 g/cm3
M_tot: 0.00 μB per formula unit
formation enthalpy at 0 K: -2.62 eV/atom
distance to the lowest polymorph of the same formula: 0.012 eV/atom
total energy after the MP2020 corrections: -327.76 eV for the cell shown
VASP energy: -0.52721 Ry per atom

```
LiMnPO4
1.0
7.045 4.068 3.145
-7.045 4.068 3.145
0.000 -8.135 3.145
Li Mn P O
6 6 6 24
Cartesian
-5.531 1.709 3.145
1.285 -5.644 3.145
-1.194 -2.627 4.688
-1.678 2.348 4.688
2.872 0.279 4.688
4.246 3.935 3.145
-4.221 -3.864 4.681
-2.860 -0.230 3.149
1.629 -2.362 3.149
1.231 2.592 3.149
-1.236 5.588 4.681
5.457 -1.724 4.681
-1.544 -5.730 4.703
-4.190 4.202 4.703
-2.881 -0.179 6.294
1.595 -2.405 6.294
1.286 2.584 6.294
5.734 1.528 4.703
-2.212 -4.327 4.728
-0.435 -2.474 2.848
-1.925 1.614 2.848
-4.657 -3.162 6.584
-0.002 -5.524 4.649
-4.783 2.764 4.649
-2.380 -0.989 5.056
-4.433 -0.125 6.298
-2.641 4.080 4.728
2.360 0.860 2.848
-2.349 1.289 6.207
0.058 -2.679 6.207
-2.350 -0.811 7.609
2.046 -1.566 5.056
0.333 2.555 5.056
2.325 -3.777 6.298
4.854 0.248 4.728
1.878 -1.629 7.609
2.291 1.390 6.207
-0.410 5.614 6.584
0.472 2.441 7.609
4.785 2.760 4.649
5.066 -2.452 6.584
2.108 3.902 6.298
```